! r2SCAN TbAgSn2, relaxed; values from VASP
! **Formation enthalpy at 0 K**: -1.838 eV per formula unit
! **Crystal system**: tetragonal
! **Volume**: 94 Å³ per cell
! **E_tot**: -25.98 eV per atom
! **Space-group type**: P4/mmm, No. 123
&SYSTEM
  ibrav = 0, nat = 4, ntyp = 3
/
ATOMIC_SPECIES
Tb 158.93 Tb.upf
Ag 107.87 Ag.upf
Sn 118.71 Sn.upf
CELL_PARAMETERS angstrom
4.628 0.000 0.000
0.000 4.628 0.000
0.000 0.000 4.388
ATOMIC_POSITIONS angstrom
Tb 0.000 0.000 0.000
Ag 2.314 2.314 0.000
Sn 2.314 0.000 2.194
Sn 0.000 2.314 2.194